Entry 1:
DFT (PBE-GGA) results for an optimized crystal structure of BaMg6SnO8.

Computed properties:
E   -5.531 eV per atom
Formation energy   -2430 meV/atom
Excess energy over the best structure of this formula in the dataset   0.000 eV/atom

```
data_BaMg6SnO8
_chemical_formula_sum 'Ba1 Mg6 Sn1 O8'
_cell_length_a 9.172
_cell_length_b 4.774
_cell_length_c 4.774
_cell_angle_alpha 90.00
_cell_angle_beta 90.00
_cell_angle_gamma 90.00
_symmetry_space_group_name_H-M 'P 1'
_symmetry_Int_Tables_number 1
loop_
_symmetry_equiv_pos_as_xyz
'x,y,z'
loop_
_atom_site_label
_atom_site_type_symbol
_atom_site_fract_x
_atom_site_fract_y
_atom_site_fract_z
Mg1 Mg 0.721 0.500 0.000
Mg2 Mg 0.279 0.000 0.500
Mg3 Mg 0.500 0.500 0.500
Mg4 Mg 0.279 0.500 0.000
Mg5 Mg 0.500 0.000 0.000
Mg6 Mg 0.721 0.000 0.500
O1 O 0.285 0.500 0.500
O2 O 0.721 0.000 0.000
O3 O 0.500 0.000 0.500
O4 O 0.715 0.500 0.500
O5 O 0.279 0.000 0.000
O6 O 0.000 0.500 0.000
O7 O 0.500 0.500 0.000
O8 O 0.000 0.000 0.500
Sn1 Sn 0.000 0.000 0.000
Ba1 Ba 0.000 0.500 0.500
```

Entry 2:
DFT (PBE-GGA) results for an optimized crystal structure of Na7Mg2Zr2SiP5O24.

Computed properties:
E   -6.929 eV per atom
Formation energy   -2922 meV/atom

```
data_Na7Mg2Zr2SiP5O24
_chemical_formula_sum 'Na21 Mg6 Zr6 Si3 P15 O72'
_cell_length_a 9.109
_cell_length_b 9.104
_cell_length_c 22.408
_cell_angle_alpha 90.10
_cell_angle_beta 89.88
_cell_angle_gamma 120.05
_symmetry_space_group_name_H-M 'P 1'
_symmetry_Int_Tables_number 1
loop_
_symmetry_equiv_pos_as_xyz
'x,y,z'
loop_
_atom_site_label
_atom_site_type_symbol
_atom_site_fract_x
_atom_site_fract_y
_atom_site_fract_z
O1 O 0.154 0.646 0.080
O2 O 0.792 0.977 0.689
O3 O 0.189 0.979 0.193
O4 O 0.313 0.850 0.971
O5 O 0.550 0.865 0.475
O6 O 0.126 0.476 0.859
O7 O 0.459 0.300 0.031
O8 O 0.027 0.831 0.412
O9 O 0.654 0.146 0.419
O10 O 0.366 0.500 0.078
O11 O 0.821 0.808 0.587
O12 O 0.205 0.177 0.801
O13 O 0.312 0.473 0.755
O14 O 0.122 0.644 0.358
O15 O 0.861 0.505 0.421
O16 O 0.694 0.536 0.530
O17 O 0.512 0.870 0.364
O18 O 0.501 0.636 0.578
O19 O 0.160 0.476 0.252
O20 O 0.879 0.362 0.637
O21 O 0.313 0.458 0.470
O22 O 0.810 0.986 0.412
O23 O 0.541 0.686 0.970
O24 O 0.343 0.470 0.357
O25 O 0.531 0.655 0.857
O26 O 0.656 0.510 0.918
O27 O 0.310 0.838 0.255
O28 O 0.204 0.021 0.305
O29 O 0.511 0.834 0.754
O30 O 0.479 0.359 0.142
O31 O 0.823 0.026 0.807
O32 O 0.833 0.529 0.746
O33 O 0.352 0.845 0.579
O34 O 0.470 0.165 0.247
O35 O 0.840 0.316 0.248
O36 O 0.979 0.794 0.805
O37 O 0.986 0.190 0.305
O38 O 0.642 0.524 0.642
O39 O 0.175 0.008 0.587
O40 O 0.851 0.543 0.022
O41 O 0.691 0.176 0.747
O42 O 0.027 0.813 0.693
O43 O 0.637 0.128 0.133
O44 O 0.819 0.799 0.300
O45 O 0.856 0.348 0.918
O46 O 0.141 0.460 0.972
O47 O 0.476 0.317 0.745
O48 O 0.508 0.858 0.077
O49 O 0.153 0.690 0.470
O50 O 0.454 0.148 0.522
O51 O 0.495 0.140 0.921
O52 O 0.168 0.972 0.914
O53 O 0.690 0.524 0.247
O54 O 0.487 0.342 0.417
O55 O 0.143 0.495 0.577
O56 O 0.167 0.190 0.412
O57 O 0.153 0.676 0.755
O58 O 0.194 0.216 0.689
O59 O 0.353 0.877 0.859
O60 O 0.811 0.830 0.913
O61 O 0.487 0.127 0.639
O62 O 0.519 0.673 0.254
O63 O 0.190 0.182 0.090
O64 O 0.982 0.175 0.586
O65 O 0.871 0.510 0.140
O66 O 0.017 0.190 0.914
O67 O 0.689 0.141 0.022
O68 O 0.991 0.824 0.087
O69 O 0.781 0.798 0.188
O70 O 0.017 0.208 0.193
O71 O 0.856 0.314 0.524
O72 O 0.828 0.023 0.088
Na1 Na 0.994 0.987 0.507
Na2 Na 0.362 0.985 0.754
Na3 Na 0.010 0.639 0.253
Na4 Na 0.687 0.706 0.086
Na5 Na 0.015 0.006 0.007
Na6 Na 0.677 0.973 0.593
Na7 Na 0.650 0.330 0.842
Na8 Na 0.028 0.708 0.588
Na9 Na 0.958 0.654 0.926
Na10 Na 0.347 0.041 0.425
Na11 Na 0.294 0.313 0.584
Na12 Na 0.630 0.646 0.753
Na13 Na 0.694 0.037 0.920
Na14 Na 0.665 0.336 0.341
Na15 Na 0.359 0.369 0.256
Na16 Na 0.348 0.685 0.176
Na17 Na 0.340 0.676 0.674
Na18 Na 0.291 0.973 0.089
Na19 Na 0.026 0.327 0.090
Na20 Na 0.006 0.367 0.757
Na21 Na 0.963 0.307 0.421
P1 P 0.294 0.997 0.249
P2 P 0.670 0.040 0.079
P3 P 0.036 0.663 0.413
P4 P 0.669 0.626 0.582
P5 P 0.002 0.297 0.248
P6 P 0.699 0.703 0.246
P7 P 0.001 0.705 0.749
P8 P 0.336 0.371 0.412
P9 P 0.629 0.662 0.913
P10 P 0.962 0.332 0.579
P11 P 0.035 0.370 0.914
P12 P 0.294 0.297 0.746
P13 P 0.336 0.965 0.915
P14 P 0.628 0.966 0.415
P15 P 0.373 0.331 0.084
Si1 Si 0.364 0.035 0.579
Si2 Si 0.701 0.997 0.747
Si3 Si 0.964 0.633 0.080
Mg1 Mg 0.000 0.999 0.649
Mg2 Mg 0.662 0.336 0.982
Mg3 Mg 0.341 0.673 0.316
Mg4 Mg 0.997 0.996 0.150
Mg5 Mg 0.662 0.337 0.482
Mg6 Mg 0.337 0.668 0.817
Zr1 Zr 0.993 0.994 0.352
Zr2 Zr 0.671 0.331 0.185
Zr3 Zr 0.664 0.326 0.684
Zr4 Zr 0.002 0.005 0.852
Zr5 Zr 0.339 0.671 0.517
Zr6 Zr 0.331 0.663 0.018
```

Entry 3:
DFT (PBE-GGA) results for an optimized crystal structure of CaP2H20C4N8O12.

Computed properties:
E   -6.175 eV per atom
Formation energy   -1166 meV/atom

```
data_CaP2H20C4N8O12
_chemical_formula_sum 'Ca2 P4 H40 C8 N16 O24'
_cell_length_a 21.953
_cell_length_b 5.679
_cell_length_c 9.314
_cell_angle_alpha 53.10
_cell_angle_beta 90.00
_cell_angle_gamma 90.00
_symmetry_space_group_name_H-M 'P 1'
_symmetry_Int_Tables_number 1
loop_
_symmetry_equiv_pos_as_xyz
'x,y,z'
loop_
_atom_site_label
_atom_site_type_symbol
_atom_site_fract_x
_atom_site_fract_y
_atom_site_fract_z
O1 O 0.609 0.419 0.597
O2 O 0.730 0.465 0.246
O3 O 0.151 0.227 0.222
O4 O 0.651 0.773 0.278
O5 O 0.109 0.581 0.903
O6 O 0.928 0.696 0.231
O7 O 0.572 0.386 0.353
O8 O 0.849 0.773 0.778
O9 O 0.349 0.227 0.722
O10 O 0.572 0.696 0.731
O11 O 0.072 0.304 0.769
O12 O 0.230 0.535 0.254
O13 O 0.428 0.614 0.647
O14 O 0.044 0.161 0.155
O15 O 0.770 0.465 0.746
O16 O 0.270 0.535 0.754
O17 O 0.428 0.304 0.269
O18 O 0.956 0.839 0.845
O19 O 0.928 0.386 0.853
O20 O 0.544 0.839 0.345
O21 O 0.891 0.419 0.097
O22 O 0.072 0.614 0.147
O23 O 0.391 0.581 0.403
O24 O 0.456 0.161 0.655
H1 H 0.880 0.351 0.634
H2 H 0.211 0.200 0.903
H3 H 0.904 0.516 0.156
H4 H 0.016 0.080 0.646
H5 H 0.181 0.359 0.226
H6 H 0.820 0.182 0.256
H7 H 0.320 0.818 0.244
H8 H 0.050 0.308 0.430
H9 H 0.819 0.641 0.774
H10 H 0.120 0.649 0.366
H11 H 0.658 0.092 0.495
H12 H 0.297 0.157 0.050
H13 H 0.550 0.692 0.070
H14 H 0.096 0.484 0.844
H15 H 0.789 0.800 0.097
H16 H 0.680 0.182 0.756
H17 H 0.362 0.713 0.020
H18 H 0.703 0.843 0.950
H19 H 0.450 0.308 0.930
H20 H 0.681 0.641 0.274
H21 H 0.984 0.920 0.354
H22 H 0.138 0.713 0.520
H23 H 0.158 0.908 0.005
H24 H 0.620 0.351 0.134
H25 H 0.342 0.908 0.505
H26 H 0.319 0.359 0.726
H27 H 0.516 0.920 0.854
H28 H 0.797 0.843 0.450
H29 H 0.180 0.818 0.744
H30 H 0.203 0.157 0.550
H31 H 0.289 0.200 0.403
H32 H 0.862 0.287 0.480
H33 H 0.711 0.800 0.597
H34 H 0.484 0.080 0.146
H35 H 0.842 0.092 0.995
H36 H 0.380 0.649 0.866
H37 H 0.950 0.692 0.570
H38 H 0.596 0.516 0.656
H39 H 0.404 0.484 0.344
H40 H 0.638 0.287 0.980
N1 N 0.379 0.571 0.997
N2 N 0.799 0.019 0.005
N3 N 0.293 0.934 0.133
N4 N 0.201 0.981 0.995
N5 N 0.299 0.981 0.495
N6 N 0.707 0.066 0.867
N7 N 0.121 0.571 0.497
N8 N 0.207 0.934 0.633
N9 N 0.701 0.019 0.505
N10 N 0.621 0.429 0.003
N11 N 0.952 0.771 0.439
N12 N 0.548 0.771 0.939
N13 N 0.452 0.229 0.061
N14 N 0.879 0.429 0.503
N15 N 0.048 0.229 0.561
N16 N 0.793 0.066 0.367
C1 C 0.080 0.369 0.613
C2 C 0.420 0.369 0.113
C3 C 0.920 0.631 0.387
C4 C 0.240 0.808 0.133
C5 C 0.760 0.192 0.867
C6 C 0.260 0.808 0.633
C7 C 0.580 0.631 0.887
C8 C 0.740 0.192 0.367
P1 P 0.410 0.393 0.612
P2 P 0.090 0.393 0.112
P3 P 0.590 0.607 0.388
P4 P 0.910 0.607 0.888
Ca1 Ca 0.000 0.000 0.000
Ca2 Ca 0.500 0.000 0.500
```

Entry 4:
DFT (PBE-GGA) results for an optimized crystal structure of Co19Si8B4.

Computed properties:
E   -7.048 eV per atom
Formation energy   -429 meV/atom

```
data_Co19Si8B4
_chemical_formula_sum 'Co19 Si8 B4'
_cell_length_a 6.461
_cell_length_b 6.461
_cell_length_c 8.452
_cell_angle_alpha 109.02
_cell_angle_beta 70.98
_cell_angle_gamma 96.16
_symmetry_space_group_name_H-M 'P 1'
_symmetry_Int_Tables_number 1
loop_
_symmetry_equiv_pos_as_xyz
'x,y,z'
loop_
_atom_site_label
_atom_site_type_symbol
_atom_site_fract_x
_atom_site_fract_y
_atom_site_fract_z
Co1 Co 0.501 0.500 0.411
Co2 Co 0.500 0.501 0.839
Co3 Co 0.723 0.873 0.536
Co4 Co 0.127 0.718 0.397
Co5 Co 0.127 0.282 0.287
Co6 Co 0.277 0.875 0.648
Co7 Co 0.872 0.282 0.102
Co8 Co 0.501 0.501 0.125
Co9 Co 0.126 0.278 0.790
Co10 Co 0.873 0.723 0.714
Co11 Co 0.724 0.125 0.348
Co12 Co 0.872 0.716 0.211
Co13 Co 0.282 0.127 0.963
Co14 Co 0.716 0.872 0.039
Co15 Co 0.282 0.872 0.148
Co16 Co 0.278 0.126 0.460
Co17 Co 0.125 0.724 0.902
Co18 Co 0.718 0.127 0.853
Co19 Co 0.875 0.277 0.602
Si1 Si 0.500 0.179 0.179
Si2 Si 0.179 0.500 0.071
Si3 Si 0.822 0.499 0.910
Si4 Si 0.177 0.501 0.609
Si5 Si 0.499 0.822 0.340
Si6 Si 0.501 0.177 0.641
Si7 Si 0.500 0.824 0.803
Si8 Si 0.824 0.500 0.447
B1 B 0.998 0.998 0.625
B2 B 0.001 0.001 0.125
B3 B 0.997 0.003 0.878
B4 B 0.003 0.997 0.372
```

Entry 5:
DFT (PBE-GGA) results for an optimized crystal structure of AcCuO3.

Computed properties:
E   -6.624 eV per atom
Formation energy   -2423 meV/atom

```
data_AcCuO3
_chemical_formula_sum 'Ac1 Cu1 O3'
_cell_length_a 3.944
_cell_length_b 3.944
_cell_length_c 3.944
_cell_angle_alpha 90.00
_cell_angle_beta 90.00
_cell_angle_gamma 90.00
_symmetry_space_group_name_H-M 'P 1'
_symmetry_Int_Tables_number 1
loop_
_symmetry_equiv_pos_as_xyz
'x,y,z'
loop_
_atom_site_label
_atom_site_type_symbol
_atom_site_fract_x
_atom_site_fract_y
_atom_site_fract_z
O1 O 0.500 0.000 0.500
O2 O 0.000 0.500 0.500
O3 O 0.500 0.500 0.000
Ac1 Ac 0.000 0.000 0.000
Cu1 Cu 0.500 0.500 0.500
```

Entry 6:
DFT (PBE-GGA) results for an optimized crystal structure of FeH4C6N6.

Computed properties:
E   -7.298 eV per atom
Formation energy   71 meV/atom

```
data_FeH4C6N6
_chemical_formula_sum 'Fe2 H8 C12 N12'
_cell_length_a 11.222
_cell_length_b 6.108
_cell_length_c 6.979
_cell_angle_alpha 75.65
_cell_angle_beta 90.00
_cell_angle_gamma 90.00
_symmetry_space_group_name_H-M 'P 1'
_symmetry_Int_Tables_number 1
loop_
_symmetry_equiv_pos_as_xyz
'x,y,z'
loop_
_atom_site_label
_atom_site_type_symbol
_atom_site_fract_x
_atom_site_fract_y
_atom_site_fract_z
Fe1 Fe 0.500 0.000 0.500
Fe2 Fe 0.000 0.000 0.000
C1 C 0.050 0.135 0.197
C2 C 0.579 0.777 0.695
C3 C 0.079 0.223 0.805
C4 C 0.550 0.865 0.303
C5 C 0.635 0.183 0.459
C6 C 0.950 0.865 0.803
C7 C 0.450 0.135 0.697
C8 C 0.135 0.817 0.041
C9 C 0.365 0.817 0.541
C10 C 0.865 0.183 0.959
C11 C 0.421 0.223 0.305
C12 C 0.921 0.777 0.195
N1 N 0.376 0.360 0.176
N2 N 0.876 0.640 0.324
N3 N 0.081 0.218 0.323
N4 N 0.124 0.360 0.676
N5 N 0.581 0.782 0.177
N6 N 0.781 0.301 0.931
N7 N 0.219 0.699 0.069
N8 N 0.281 0.699 0.569
N9 N 0.624 0.640 0.824
N10 N 0.719 0.301 0.431
N11 N 0.419 0.218 0.823
N12 N 0.919 0.782 0.677
H1 H 0.716 0.432 0.893
H2 H 0.600 0.719 0.056
H3 H 0.400 0.281 0.944
H4 H 0.100 0.281 0.444
H5 H 0.284 0.568 0.107
H6 H 0.784 0.432 0.393
H7 H 0.216 0.568 0.607
H8 H 0.900 0.719 0.556
```

Q: The highest E belongs to which entry?
A: BaMg6SnO8